Entry 1:
PBE Rb2ZnI4, relaxed; energy of formation from the pure elements = -1.36 eV/atom
1.0
7.938 0.000 0.000
0.000 8.356 0.000
-3.470 0.000 9.952
Rb Zn I
4 2 8
direct
0.201 0.250 0.040 Rb
0.288 0.250 0.583 Rb
0.712 0.750 0.417 Rb
0.799 0.750 0.960 Rb
0.201 0.750 0.786 Zn
0.799 0.250 0.214 Zn
0.013 0.502 0.275 I
0.013 0.998 0.275 I
0.369 0.750 0.049 I
0.419 0.750 0.644 I
0.581 0.250 0.356 I
0.631 0.250 0.951 I
0.987 0.002 0.725 I
0.987 0.498 0.725 I


Entry 2:
PBE Rb2ZnI4, relaxed; energy of formation from the pure elements = -1.36 eV/atom
1.0
7.863 0.000 0.000
0.000 8.412 0.000
-3.578 0.000 9.977
Rb Zn I
4 2 8
direct
0.195 0.000 0.037 Rb
0.297 0.000 0.586 Rb
0.703 0.500 0.414 Rb
0.805 0.500 0.963 Rb
0.197 0.501 0.784 Zn
0.803 0.001 0.216 Zn
0.016 0.750 0.277 I
0.020 0.252 0.278 I
0.366 0.513 0.047 I
0.420 0.511 0.646 I
0.580 0.011 0.354 I
0.634 0.013 0.953 I
0.980 0.752 0.722 I
0.984 0.250 0.723 I


Entry 3:
PBE ReI3, relaxed; energy of formation from the pure elements = -0.35 eV/atom
1.0
9.425 0.000 0.000
0.000 11.455 0.000
-3.550 0.000 9.217
Re I
6 18
direct
0.164 0.140 0.137 Re
0.164 0.360 0.137 Re
0.171 0.250 0.354 Re
0.829 0.750 0.646 Re
0.836 0.640 0.863 Re
0.836 0.860 0.863 Re
0.093 0.750 0.612 I
0.144 0.250 0.882 I
0.144 0.589 0.983 I
0.144 0.911 0.983 I
0.172 0.009 0.375 I
0.172 0.491 0.375 I
0.447 0.250 0.543 I
0.454 0.091 0.192 I
0.454 0.409 0.192 I
0.546 0.591 0.808 I
0.546 0.909 0.808 I
0.553 0.750 0.457 I
0.828 0.509 0.625 I
0.828 0.991 0.625 I
0.856 0.089 0.017 I
0.856 0.411 0.017 I
0.856 0.750 0.118 I
0.907 0.250 0.388 I


Entry 4:
PBE RhI3, relaxed; energy of formation from the pure elements = -0.57 eV/atom
1.0
3.470 -5.999 0.000
3.470 5.999 0.000
-2.320 0.000 6.870
Rh I
2 6
direct
0.167 0.833 0.000 Rh
0.833 0.167 0.000 Rh
0.069 0.426 0.779 I
0.218 0.218 0.221 I
0.426 0.069 0.779 I
0.574 0.931 0.221 I
0.782 0.782 0.779 I
0.931 0.574 0.221 I